Record 1
DFT (GGA-PBE) results for Na2Ca2Zr6Si3S9O48 after structural relaxation. Values from VASP.

Space group ... P1 (1)
Energy of formation ... -2.690 eV/atom
E (MP2020) ... -7.675 eV per atom

Geometry as Quantum ESPRESSO input:
```
&SYSTEM
  ibrav = 0, nat = 210, ntyp = 6
/
ATOMIC_SPECIES
O 16.00 O.upf
S 32.06 S.upf
Na 22.99 Na.upf
Zr 91.22 Zr.upf
Si 28.09 Si.upf
Ca 40.08 Ca.upf
CELL_PARAMETERS angstrom
-10.235 -3.721 14.510
8.815 -2.139 -0.002
5.147 21.283 9.128
ATOMIC_POSITIONS crystal
O 0.597 0.023 0.598
O 0.977 0.190 0.300
O 0.513 0.193 0.920
O 0.101 0.169 0.806
O 0.985 0.183 0.585
O 0.844 0.534 0.531
O 0.577 0.691 0.755
O 0.750 0.137 0.638
O 0.616 0.192 0.799
O 0.384 0.801 0.201
O 0.405 0.038 0.799
O 0.255 0.878 0.074
O 0.266 0.672 0.266
O 0.851 0.143 0.034
O 0.482 0.772 0.799
O 0.071 0.677 0.763
O 0.762 0.848 0.469
O 0.178 0.502 0.069
O 0.247 0.165 0.237
O 0.064 0.491 0.575
O 0.156 0.835 0.972
O 0.096 0.174 0.094
O 0.741 0.355 0.133
O 0.228 0.143 0.532
O 0.745 0.120 0.918
O 0.823 0.515 0.633
O 0.064 0.643 0.079
O 0.008 0.204 0.198
O 0.271 0.850 0.467
O 0.436 0.358 0.635
O 0.408 0.024 0.085
O 0.426 0.530 0.736
O 0.069 0.488 0.865
O 0.269 0.852 0.754
O 0.067 0.644 0.363
O 0.082 0.679 0.473
O 0.656 0.476 0.473
O 0.440 0.515 0.418
O 0.159 0.835 0.258
O 0.982 0.784 0.802
O 0.883 0.969 0.701
O 0.320 0.119 0.418
O 0.081 0.965 0.907
O 0.754 0.630 0.576
O 0.929 0.554 0.033
O 0.844 0.161 0.746
O 0.895 0.813 0.198
O 0.767 0.683 0.254
O 0.737 0.322 0.738
O 0.601 0.033 0.305
O 0.393 0.814 0.915
O 0.423 0.317 0.247
O 0.842 0.529 0.236
O 0.594 0.210 0.699
O 0.250 0.367 0.137
O 0.907 0.790 0.587
O 0.164 0.484 0.768
O 0.928 0.485 0.425
O 0.664 0.845 0.268
O 0.167 0.481 0.469
O 0.428 0.296 0.535
O 0.987 0.795 0.095
O 0.570 0.650 0.365
O 0.818 0.517 0.916
O 0.245 0.316 0.744
O 0.425 0.527 0.031
O 0.754 0.650 0.864
O 0.736 0.167 0.529
O 0.920 0.525 0.747
O 0.590 0.959 0.914
O 0.101 0.008 0.588
O 0.903 0.769 0.299
O 0.088 0.221 0.419
O 0.486 0.790 0.082
O 0.580 0.196 0.407
O 0.014 0.209 0.907
O 0.565 0.641 0.073
O 0.596 0.967 0.193
O 0.511 0.816 0.699
O 0.315 0.507 0.923
O 0.515 0.821 0.408
O 0.574 0.690 0.467
O 0.096 0.225 0.694
O 0.938 0.360 0.633
O 0.484 0.180 0.302
O 0.088 0.977 0.195
O 0.181 0.861 0.861
O 0.574 0.465 0.263
O 0.770 0.691 0.966
O 0.250 0.143 0.921
O 0.924 0.322 0.532
O 0.906 0.013 0.098
O 0.321 0.514 0.635
O 0.675 0.862 0.865
O 0.117 0.054 0.306
O 0.263 0.679 0.969
O 0.564 0.485 0.579
O 0.907 0.029 0.802
O 0.677 0.854 0.572
O 0.814 0.122 0.424
O 0.441 0.521 0.133
O 0.187 0.872 0.577
O 0.935 0.513 0.134
O 0.011 0.797 0.700
O 0.259 0.645 0.866
O 0.394 0.960 0.407
O 0.175 0.485 0.366
O 0.348 0.533 0.248
O 0.491 0.183 0.598
O 0.408 0.799 0.599
O 0.076 0.459 0.254
O 0.686 0.500 0.077
O 0.583 0.489 0.972
O 0.818 0.125 0.134
O 0.756 0.870 0.076
O 0.658 0.466 0.756
O 0.939 0.363 0.917
O 0.513 0.225 0.200
O 0.601 0.193 0.088
O 0.764 0.856 0.765
O 0.237 0.307 0.028
O 0.344 0.152 0.030
O 0.258 0.645 0.578
O 0.244 0.366 0.420
O 0.745 0.173 0.244
O 0.727 0.313 0.032
O 0.749 0.357 0.422
O 0.343 0.155 0.737
O 0.324 0.130 0.132
O 0.398 0.980 0.698
O 0.665 0.853 0.968
O 0.925 0.324 0.236
O 0.569 0.492 0.862
O 0.073 0.457 0.967
O 0.893 0.973 0.417
O 0.009 0.830 0.422
O 0.893 0.825 0.905
O 0.409 0.792 0.302
O 0.429 0.372 0.924
O 0.255 0.859 0.365
O 0.353 0.560 0.535
O 0.241 0.126 0.634
O 0.759 0.873 0.367
O 0.680 0.501 0.362
S 0.498 0.293 0.252
S 0.308 0.664 0.919
S 0.024 0.381 0.914
S 0.854 0.705 0.247
S 0.167 0.385 0.417
S 0.833 0.620 0.581
S 0.668 0.950 0.917
S 0.478 0.332 0.586
S 0.834 0.039 0.084
S 0.650 0.295 0.749
S 0.810 0.671 0.914
S 0.524 0.667 0.414
S 0.977 0.624 0.085
S 0.978 0.336 0.580
S 0.334 0.627 0.585
S 0.851 0.001 0.753
S 0.355 0.004 0.748
S 0.310 0.949 0.414
S 0.334 0.047 0.081
S 0.688 0.335 0.082
S 0.188 0.038 0.582
S 0.997 0.701 0.752
S 0.477 0.620 0.080
S 0.353 0.705 0.254
S 0.997 0.290 0.248
S 0.808 0.952 0.419
S 0.499 0.705 0.748
Na 0.330 0.323 0.840
Na 0.002 0.988 0.493
Na 0.324 0.322 0.332
Na 0.832 0.339 0.336
Na 0.836 0.334 0.837
Na 0.500 0.014 0.997
Zr 0.826 0.319 0.187
Zr 0.671 0.665 0.310
Zr 0.826 0.332 0.475
Zr 0.324 0.327 0.686
Zr 0.011 0.010 0.856
Zr 0.834 0.325 0.682
Zr 0.327 0.321 0.977
Zr 0.165 0.670 0.519
Zr 0.664 0.661 0.522
Zr 0.505 0.002 0.644
Zr 0.170 0.674 0.811
Zr 0.510 0.011 0.355
Zr 0.664 0.659 0.023
Zr 0.011 0.008 0.146
Zr 0.328 0.337 0.185
Zr 0.157 0.668 0.310
Zr 0.164 0.670 0.025
Zr 0.659 0.656 0.814
Si 0.190 0.338 0.081
Si 0.647 0.998 0.250
Si 0.167 0.951 0.917
Si 0.519 0.375 0.920
Si 0.147 0.296 0.750
Si 0.149 0.006 0.251
Si 0.019 0.665 0.419
Si 0.665 0.382 0.416
Si 0.690 0.042 0.582
Ca 0.500 0.008 0.856
Ca 0.001 0.008 0.651
Ca 0.336 0.335 0.479
Ca 0.836 0.334 0.981
Ca 0.005 0.996 0.354
Ca 0.501 0.993 0.151
```

---

Record 2
DFT (GGA-PBE) results for RbSnBr3 after structural relaxation. Values from VASP.

Space group ... P1 (1)
Energy of formation ... -1.512 eV/atom
E (MP2020) ... -3.493 eV per atom

Geometry as Quantum ESPRESSO input:
```
&SYSTEM
  ibrav = 0, nat = 5, ntyp = 3
/
ATOMIC_SPECIES
Br 79.90 Br.upf
Sn 118.71 Sn.upf
Rb 85.47 Rb.upf
CELL_PARAMETERS angstrom
5.865 0.000 0.000
0.015 5.868 0.000
0.048 0.043 5.870
ATOMIC_POSITIONS crystal
Br 0.990 0.473 0.468
Br 0.499 0.494 0.982
Br 0.482 0.986 0.481
Sn 0.494 0.490 0.485
Rb 0.005 0.008 0.014
```

---

Record 3
DFT (GGA-PBE) results for BaNd2CuO5 after structural relaxation. Values from VASP.

Space group ... P4/mbm (127)
Energy of formation ... -2.965 eV/atom
E (MP2020) ... -7.442 eV per atom

Geometry as Quantum ESPRESSO input:
```
&SYSTEM
  ibrav = 0, nat = 18, ntyp = 4
/
ATOMIC_SPECIES
Nd 144.24 Nd.upf
O 16.00 O.upf
Ba 137.33 Ba.upf
Cu 63.55 Cu.upf
CELL_PARAMETERS angstrom
6.766 0.000 0.000
0.000 6.766 0.000
0.000 0.000 5.884
ATOMIC_POSITIONS crystal
Nd 0.327 0.827 0.500
Nd 0.827 0.673 0.500
Nd 0.173 0.327 0.500
Nd 0.673 0.173 0.500
O 0.139 0.639 0.757
O 0.139 0.639 0.243
O 0.361 0.139 0.757
O 0.639 0.861 0.757
O 0.861 0.361 0.243
O 0.639 0.861 0.243
O 0.500 0.500 0.500
O 0.361 0.139 0.243
O 0.000 0.000 0.500
O 0.861 0.361 0.757
Ba 0.000 0.000 0.000
Ba 0.500 0.500 0.000
Cu 0.500 0.000 0.000
Cu 0.000 0.500 0.000
```